Entry 1:
A geometry-optimized BaNaYB2O6 structure, computed with PBE.

Values from the calculation:
The formation energy comes out at -3.157 eV/atom.

```
data_BaNaYB2O6
_cell_length_a 5.4216
_cell_length_b 5.4216
_cell_length_c 36.2971
_cell_angle_alpha 90.00
_cell_angle_beta 90.00
_cell_angle_gamma 120.00
_space_group_name_H-M_alt 'R -3'
_space_group_IT_number 148
_space_group_name_Hall '-R 3'
loop_
_atom_site_label
_atom_site_fract_x
_atom_site_fract_y
_atom_site_fract_z
Ba1 0.0000 0.0000 0.1018
Na1 0.0000 0.0000 0.3853
Y1 0.0000 0.0000 0.0000
Y2 0.0000 0.0000 0.5000
B1 0.0000 0.0000 0.2060
B2 0.0000 0.0000 0.2933
O1 0.0372 0.5046 0.3733
O2 0.0379 0.5188 0.8728
```



Entry 2:
A geometry-optimized BaNi2B2 structure, computed with PBE.

Values from the calculation:
The formation energy comes out at -0.052 eV/atom.

```
data_BaNi2B2
_cell_length_a 3.7095
_cell_length_b 8.0696
_cell_length_c 10.9829
_cell_angle_alpha 109.65
_cell_angle_beta 91.50
_cell_angle_gamma 94.66
_space_group_name_H-M_alt 'P 1'
_space_group_IT_number 1
loop_
_space_group_symop_operation_xyz
'x,y,z'
loop_
_atom_site_label
_atom_site_fract_x
_atom_site_fract_y
_atom_site_fract_z
Ba1 0.0000 0.0000 0.0000
Ba2 0.0126 0.4002 0.2621
Ba3 0.4710 0.5656 0.7771
Ba4 0.5287 0.8357 0.4851
Ni1 0.0024 0.1738 0.7770
Ni2 0.0094 0.2273 0.4856
Ni3 0.0219 0.8584 0.7168
Ni4 0.4085 0.8414 0.2012
Ni5 0.4761 0.1274 0.3447
Ni6 0.5358 0.2738 0.9177
Ni7 0.6037 0.5599 0.0612
Ni8 0.9803 0.5431 0.5455
B1 0.0621 0.4023 0.9719
B2 0.1194 0.6238 0.0765
B3 0.4891 0.0240 0.7726
B4 0.4972 0.1716 0.6958
B5 0.5155 0.2303 0.5671
B6 0.5196 0.3767 0.4894
B7 0.8925 0.7773 0.1867
B8 0.9496 0.9990 0.2909
```



Entry 3:
A geometry-optimized BaNi12B6 structure, computed with PBE.

Values from the calculation:
The formation energy comes out at -0.311 eV/atom.

```
data_BaNi12B6
_cell_length_a 9.6765
_cell_length_b 9.6765
_cell_length_c 7.4570
_cell_angle_alpha 90.00
_cell_angle_beta 90.00
_cell_angle_gamma 120.00
_space_group_name_H-M_alt 'R -3 m'
_space_group_IT_number 166
_space_group_name_Hall '-R 3 2"'
loop_
_atom_site_label
_atom_site_fract_x
_atom_site_fract_y
_atom_site_fract_z
Ba1 0.0000 0.0000 0.0000
Ni1 0.0000 0.3677 0.5000
Ni2 0.0925 0.1850 0.3727
B1 0.0547 0.5274 0.2957
```



Entry 4:
A geometry-optimized BaNi2B2 structure, computed with PBE.

Values from the calculation:
The formation energy comes out at 0.165 eV/atom.

```
data_BaNi2B2
_cell_length_a 8.3299
_cell_length_b 11.3793
_cell_length_c 3.2389
_cell_angle_alpha 90.00
_cell_angle_beta 90.00
_cell_angle_gamma 90.00
_space_group_name_H-M_alt 'P n n m'
_space_group_IT_number 58
loop_
_space_group_symop_operation_xyz
'x,y,z'
'-x,-y,-z'
'-x,-y,z'
'x,y,-z'
'x+1/2,-y+1/2,-z+1/2'
'-x+1/2,y+1/2,z+1/2'
'-x+1/2,y+1/2,-z+1/2'
'x+1/2,-y+1/2,z+1/2'
loop_
_atom_site_label
_atom_site_fract_x
_atom_site_fract_y
_atom_site_fract_z
Ba1 0.1803 0.0609 0.0000
Ni1 0.0185 0.3185 0.0000
Ni2 0.1811 0.7946 0.5000
B1 0.0217 0.4294 0.5000
B2 0.1687 0.3168 0.5000
```